TiZnBi2O6 | GGA-PBE | relaxed

Cell: 3.9186 3.9186 8.0580 Å, 90.00 90.00 90.00°
Closest atoms and distances in Å follow each position.
Space group P4/mmm (No. 123)
One atom of each set of equivalent atoms:
Ti: 0.0000 0.0000 0.0000 [1 per cell]  6 O 1.95-1.96
Zn: 0.0000 0.0000 0.5000 [1 per cell]  6 O 1.96-2.08
Bi: 0.5000 0.5000 0.2783 [2 per cell]  8 O 2.65-2.79
O: 0.0000 0.0000 0.2416 [2 per cell]  1 Ti 1.95, 1 Zn 2.08
O: 0.0000 0.5000 0.0000 [2 per cell]  2 Ti 1.96
O: 0.0000 0.5000 0.5000 [2 per cell]  2 Zn 1.96

Computed properties:
volume: 12.4 Å³ per atom
formation energy from the elements: -1.965 eV/atom
total moment: 0.00 μB per atom
calculated total energy: -62.2 eV for the cell shown
ρ: 8.4 Mg/m³